No. 1
Below is a relaxed structure of BaSr4U3O14, with properties calculated at the PBE level.

abc: 8.1177 8.1177 11.1237
angles: 90.00 90.00 89.92
Closest atoms and distances in Å follow each position.
Element x y z (fractional)
Ba1 0.0000 0.0000 0.0000  8 O 2.83-2.92
Ba2 0.5000 0.5000 0.5000  8 O 2.83-2.92
Sr1 0.2290 0.2710 0.2500  6 O 2.52-2.67
Sr2 0.2486 0.7514 0.7250  7 O 2.47-2.68
Sr3 0.2514 0.7486 0.2250  7 O 2.47-2.68
Sr4 0.2710 0.2290 0.7500  6 O 2.52-2.67
Sr5 0.7290 0.7710 0.2500  6 O 2.52-2.67
Sr6 0.7486 0.2514 0.7750  7 O 2.47-2.68
Sr7 0.7514 0.2486 0.2750  7 O 2.47-2.68
Sr8 0.7710 0.7290 0.7500  6 O 2.52-2.67
U1 0.0000 0.0000 0.5000  6 O 1.96-2.16
U2 0.0000 0.5000 0.0000  6 O 2.05-2.21
U3 0.0000 0.5000 0.5000  6 O 2.05-2.21
U4 0.5000 0.0000 0.0000  6 O 2.05-2.21
U5 0.5000 0.0000 0.5000  6 O 2.05-2.21
U6 0.5000 0.5000 0.0000  6 O 1.96-2.16
O1 0.0071 0.2465 0.4268  2 U 2.16-2.21
O2 0.0323 0.3072 0.8830  1 U 2.05
O3 0.0328 0.6844 0.8756  1 U 2.06
O4 0.0656 0.9344 0.3371  1 U 1.96
O5 0.1844 0.5328 0.3756  1 U 2.06
O6 0.1928 0.4677 0.6170  1 U 2.05
O7 0.2465 0.0071 0.5732  2 U 2.16-2.21
O8 0.2535 0.4929 0.0732  2 U 2.16-2.21
O9 0.3072 0.0323 0.1170  1 U 2.05
O10 0.3156 0.9672 0.8756  1 U 2.06
O11 0.4344 0.5656 0.8371  1 U 1.96
O12 0.4672 0.8156 0.3756  1 U 2.06
O13 0.4677 0.1928 0.3830  1 U 2.05
O14 0.4929 0.2535 0.9268  2 U 2.16-2.21
O15 0.5071 0.7465 0.0732  2 U 2.16-2.21
O16 0.5323 0.8072 0.6170  1 U 2.05
O17 0.5328 0.1844 0.6244  1 U 2.06
O18 0.5656 0.4344 0.1629  1 U 1.96
O19 0.6844 0.0328 0.1244  1 U 2.06
O20 0.6928 0.9677 0.8830  1 U 2.05
O21 0.7465 0.5071 0.9268  2 U 2.16-2.21
O22 0.7535 0.9929 0.4268  2 U 2.16-2.21
O23 0.8072 0.5323 0.3830  1 U 2.05
O24 0.8156 0.4672 0.6244  1 U 2.06
O25 0.9344 0.0656 0.6629  1 U 1.96
O26 0.9672 0.3156 0.1244  1 U 2.06
O27 0.9677 0.6928 0.1170  1 U 2.05
O28 0.9929 0.7535 0.5732  2 U 2.16-2.21

## Properties
Energy of formation from the pure elements = -3.64 eV/atom
ρ = 6.46 g/cm³
SG = Cmce (64)
Calculated total energy = -364.5 eV/cell

***

No. 2
Below is a relaxed structure of Ba2SrUO6, with properties calculated at the PBE level.

abc: 6.3003 6.3720 10.9101
angles: 90.00 125.03 90.00
Closest atoms and distances in Å follow each position.
Element x y z (fractional)
Ba1 0.2421 0.0352 0.2511  5 O 2.70-2.98
Ba2 0.2421 0.4648 0.7511  5 O 2.70-2.98
Ba3 0.7579 0.5352 0.2489  5 O 2.70-2.98
Ba4 0.7579 0.9648 0.7489  5 O 2.70-2.98
Sr1 0.5000 0.0000 0.0000  6 O 2.50-2.52
Sr2 0.5000 0.5000 0.5000  6 O 2.50-2.52
U1 0.0000 0.0000 0.5000  6 O 2.10-2.11
U2 0.0000 0.5000 0.0000  6 O 2.10-2.11
O1 0.1355 0.2345 0.9478  1 U 2.11
O2 0.1355 0.2655 0.4478  1 U 2.11
O3 0.2231 0.6902 0.9577  1 U 2.10
O4 0.2231 0.8098 0.4577  1 U 2.10
O5 0.3141 0.0315 0.7263  1 U 2.11
O6 0.3141 0.4685 0.2263  1 U 2.11
O7 0.6859 0.5315 0.7737  1 U 2.11
O8 0.6859 0.9685 0.2737  1 U 2.11
O9 0.7769 0.1902 0.5423  1 U 2.10
O10 0.7769 0.3098 0.0423  1 U 2.10
O11 0.8645 0.7345 0.5522  1 U 2.11
O12 0.8645 0.7655 0.0522  1 U 2.11

## Properties
Energy of formation from the pure elements = -3.51 eV/atom
Energy above the most stable polymorph in this dataset = 0.000 eV/atom
ρ = 6.45 g/cm³
SG = P2_1/c (14)
Calculated total energy = -155.0 eV/cell

***

No. 3
Below is a relaxed structure of BaSrY4O8, with properties calculated at the PBE level.

abc: 3.4660 12.1426 10.3412
angles: 90.00 90.00 90.00
Closest atoms and distances in Å follow each position.
Element x y z (fractional)
Ba1 0.0000 0.1008 0.0000  8 O 2.73-2.92
Ba2 0.0000 0.8992 0.5000  8 O 2.73-2.92
Sr1 0.5000 0.3983 0.5070  7 O 2.62-2.84
Sr2 0.5000 0.6017 0.0070  7 O 2.62-2.84
Y1 0.0000 0.1423 0.3292  6 O 2.27-2.36
Y2 0.0000 0.3630 0.8302  6 O 2.23-2.37
Y3 0.0000 0.6370 0.3302  6 O 2.23-2.37
Y4 0.0000 0.8577 0.8292  6 O 2.27-2.36
Y5 0.5000 0.1434 0.6739  6 O 2.27-2.39
Y6 0.5000 0.3652 0.1802  6 O 2.24-2.38
Y7 0.5000 0.6348 0.6802  6 O 2.24-2.38
Y8 0.5000 0.8566 0.1739  6 O 2.27-2.39
O1 0.0000 0.0341 0.7342  3 Y 2.27-2.36
O2 0.0000 0.2740 0.6294  3 Y 2.34-2.39
O3 0.0000 0.3294 0.3317  3 Y 2.27-2.38
O4 0.0000 0.4208 0.0434  3 Y 2.31-2.34
O5 0.0000 0.5792 0.5434  3 Y 2.31-2.34
O6 0.0000 0.6706 0.8317  3 Y 2.27-2.38
O7 0.0000 0.7260 0.1294  3 Y 2.34-2.39
O8 0.0000 0.9659 0.2342  3 Y 2.27-2.36
O9 0.5000 0.0878 0.4630  3 Y 2.28-2.31
O10 0.5000 0.1787 0.1840  3 Y 2.27-2.34
O11 0.5000 0.2344 0.8697  3 Y 2.31-2.37
O12 0.5000 0.4669 0.7698  3 Y 2.23-2.24
O13 0.5000 0.5331 0.2698  3 Y 2.23-2.24
O14 0.5000 0.7656 0.3697  3 Y 2.31-2.37
O15 0.5000 0.8213 0.6840  3 Y 2.27-2.34
O16 0.5000 0.9122 0.9630  3 Y 2.28-2.31

## Properties
Energy of formation from the pure elements = -3.68 eV/atom
ρ = 5.41 g/cm³
SG = Pmc2_1 (26)
Calculated total energy = -230.2 eV/cell

***

No. 4
Below is a relaxed structure of BaSrZr4O12, with properties calculated at the PBE level.

abc: 8.3878 5.9501 5.9501
angles: 89.71 90.00 90.00
Closest atoms and distances in Å follow each position.
Element x y z (fractional)
Ba1 0.0000 0.0000 0.0000  10 O 2.86-3.00
Sr1 0.5000 0.4717 0.4717  6 O 2.61-2.86
Zr1 0.2531 0.4940 0.9797  6 O 2.07-2.16
Zr2 0.2531 0.9797 0.4940  6 O 2.07-2.16
Zr3 0.7469 0.4940 0.9797  6 O 2.07-2.16
Zr4 0.7469 0.9797 0.4940  6 O 2.07-2.16
O1 0.0000 0.5037 0.9784  2 Zr 2.12
O2 0.0000 0.9784 0.5037  2 Zr 2.12
O3 0.2432 0.2488 0.2488  2 Zr 2.16
O4 0.2481 0.2205 0.7541  2 Zr 2.11-2.12
O5 0.2481 0.7541 0.2205  2 Zr 2.11-2.12
O6 0.2866 0.7086 0.7086  2 Zr 2.07
O7 0.5000 0.0333 0.4734  2 Zr 2.10
O8 0.5000 0.4734 0.0333  2 Zr 2.10
O9 0.7134 0.7086 0.7086  2 Zr 2.07
O10 0.7519 0.2205 0.7541  2 Zr 2.11-2.12
O11 0.7519 0.7541 0.2205  2 Zr 2.11-2.12
O12 0.7568 0.2488 0.2488  2 Zr 2.16

## Properties
Energy of formation from the pure elements = -3.09 eV/atom
ρ = 4.37 g/cm³
SG = Amm2 (38)
Calculated total energy = -144.6 eV/cell

***

No. 5
Below is a relaxed structure of BaSr3Zr4O12, with properties calculated at the PBE level.

abc: 5.9110 8.3525 5.9370
angles: 90.00 90.01 90.00
Closest atoms and distances in Å follow each position.
Element x y z (fractional)
Ba1 0.0000 0.0000 0.0000  6 O 2.67-2.91
Sr1 0.0100 0.5000 0.9572  6 O 2.55-2.76
Sr2 0.5016 0.5000 0.4661  4 O 2.54-2.75
Sr3 0.5124 0.0000 0.5137  6 O 2.57-2.83
Zr1 0.0036 0.2525 0.4846  6 O 2.11-2.15
Zr2 0.0036 0.7475 0.4846  6 O 2.11-2.15
Zr3 0.5049 0.2531 0.9886  6 O 2.11-2.14
Zr4 0.5049 0.7469 0.9886  6 O 2.11-2.14
O1 0.0781 0.0000 0.4846  2 Zr 2.15
O2 0.2236 0.2903 0.2078  2 Zr 2.12-2.13
O3 0.2236 0.7097 0.2078  2 Zr 2.12-2.13
O4 0.2771 0.2911 0.7133  2 Zr 2.14
O5 0.2771 0.7089 0.7133  2 Zr 2.14
O6 0.4508 0.0000 0.9682  2 Zr 2.14
O7 0.5825 0.5000 0.0107  2 Zr 2.12
O8 0.7200 0.2128 0.2711  2 Zr 2.13
O9 0.7200 0.7872 0.2711  2 Zr 2.13
O10 0.7743 0.2231 0.7591  2 Zr 2.11-2.13
O11 0.7743 0.7769 0.7591  2 Zr 2.11-2.13
O12 0.9303 0.5000 0.4992  2 Zr 2.11

## Properties
Energy of formation from the pure elements = -3.65 eV/atom
ρ = 5.42 g/cm³
SG = Pm (6)
Calculated total energy = -165.3 eV/cell

***

The highest ρ belongs to which entry?
BaSr4U3O14

***

Among the records above, which one has the lowest ρ?
BaSrZr4O12